1.
GaCuGeSe4 | PBE | relaxed

Lattice parameters (Å, degrees): 5.5827 5.5827 10.9380 90.00 90.00 90.00
Space group I-4 (No. 82)
Unique sites:
Ga 0.0000 0.0000 0.0000
Cu 0.0000 0.5000 0.2500
Ge 0.0000 0.5000 0.7500
Se 0.2349 0.7621 0.6198

Crystal system: tetragonal


2.
LiTaNbAg2O6 | PBE | relaxed

Lattice parameters (Å, degrees): 5.8086 5.7783 8.0756 90.00 90.24 90.00
Space group Cm (No. 8)
Unique sites:
Li 0.0000 0.0000 0.0000
Ta 0.3976 0.0000 0.4977
Nb 0.4830 0.0000 0.9973
Ag 0.3832 0.5000 0.3003
Ag 0.3874 0.5000 0.6976
O 0.1532 0.2383 0.4985
O 0.2339 0.2565 0.9975
O 0.4443 0.0000 0.2519
O 0.4451 0.0000 0.7439

Crystal system: monoclinic
E above lowest polymorph (eV/f.u.): 0.00


3.
Na3ErCl6 | PBE | relaxed

Lattice parameters (Å, degrees): 10.5838 10.5838 10.5838 90.00 90.00 90.00
Space group Fm-3m (No. 225)
Unique sites:
Na 0.0000 0.0000 0.0000
Na 0.2500 0.2500 0.2500
Er 0.0000 0.0000 0.5000
Cl 0.0000 0.0000 0.2549

Crystal system: cubic


4.
Sc2GaB2Ir5 | PBE | relaxed

Lattice parameters (Å, degrees): 9.4055 9.4055 3.0733 90.00 90.00 90.00
Space group P4/mbm (No. 127)
Unique sites:
Sc 0.1752 0.3248 0.0000
Ga 0.0000 0.0000 0.0000
B 0.1250 0.6250 0.0000
Ir 0.0000 0.5000 0.5000
Ir 0.0715 0.7841 0.5000

Crystal system: tetragonal


5.
Te4MoW3Se2S2 | PBE | relaxed

Lattice parameters (Å, degrees): 3.3953 3.3953 38.7432 90.00 90.00 120.00
Space group P3m1 (No. 156)
Unique sites:
Te 0.0000 0.0000 0.0000
Te 0.0000 0.0000 0.0966
Te 0.0000 0.0000 0.3754
Te 0.0000 0.0000 0.4727
Mo 0.3333 0.6667 0.0484
W 0.0000 0.0000 0.2362
W 0.0000 0.0000 0.8605
W 0.3333 0.6667 0.4241
Se 0.3333 0.6667 0.1935
Se 0.3333 0.6667 0.2789
S 0.3333 0.6667 0.8216
S 0.3333 0.6667 0.8994

Crystal system: trigonal
E above lowest polymorph (eV/f.u.): 0.01


6.
DySiIr | PBE | relaxed

Lattice parameters (Å, degrees): 6.8849 4.2493 7.4192 90.00 90.00 90.00
Space group Pnma (No. 62)
Unique sites:
Dy 0.0003 0.2500 0.1870
Si 0.2015 0.2500 0.6082
Ir 0.1568 0.7500 0.4304

Crystal system: orthorhombic


7.
Re4As6S3 | PBE | relaxed

Lattice parameters (Å, degrees): 7.0704 7.0704 17.3874 90.00 90.00 120.00
Space group R3m (No. 160, hexagonal axes)
Unique sites:
Re 0.0000 0.0000 0.0000
Re 0.2007 0.4013 0.7974
As 0.0000 0.0000 0.2393
As 0.0000 0.0000 0.6000
As 0.0000 0.0000 0.7428
As 0.1915 0.3830 0.5509
S 0.1748 0.3497 0.0556

Crystal system: trigonal


8.
Tb3Hg | PBE | relaxed

Lattice parameters (Å, degrees): 4.8225 4.8225 4.8225 90.00 90.00 90.00
Space group Pm-3m (No. 221)
Unique sites:
Tb 0.0000 0.0000 0.5000
Hg 0.5000 0.5000 0.5000

Crystal system: cubic


9.
ReN2 | PBE | relaxed

Lattice parameters (Å, degrees): 2.9077 2.9077 3.9346 90.00 90.00 120.00
Space group P-6m2 (No. 187)
Unique sites:
Re 0.0000 0.0000 0.0000
N 0.3333 0.6667 0.3281

Crystal system: hexagonal


10.
MgTe2Mo2W2Se4S2 | PBE | relaxed

Lattice parameters (Å, degrees): 3.3369 3.3369 46.7386 90.00 90.00 120.00
Space group P3m1 (No. 156)
Unique sites:
Mg 0.0000 0.0000 0.0000
Te 0.3333 0.6667 0.0658
Te 0.3333 0.6667 0.1479
Mo 0.3333 0.6667 0.5362
Mo 0.6667 0.3333 0.7241
W 0.3333 0.6667 0.9027
W 0.6667 0.3333 0.1070
Se 0.3333 0.6667 0.6884
Se 0.3333 0.6667 0.7598
Se 0.6667 0.3333 0.5005
Se 0.6667 0.3333 0.5719
S 0.6667 0.3333 0.8702
S 0.6667 0.3333 0.9355

Crystal system: trigonal
E above lowest polymorph (eV/f.u.): 0.35


11.
SiO2 | PBE | relaxed

Lattice parameters (Å, degrees): 29.3660 14.0950 12.5391 90.00 105.20 90.00
Space group C2/m (No. 12)
Unique sites:
Si 0.0479 0.1105 0.1673
Si 0.0595 0.1109 0.9215
Si 0.1386 0.1949 0.2920
Si 0.1545 0.1954 0.9163
Si 0.1930 0.2949 0.1427
Si 0.1955 0.0000 0.3073
Si 0.1989 0.2943 0.5014
Si 0.2037 0.2954 0.7567
Si 0.2071 0.0000 0.9441
Si 0.2258 0.5000 0.8273
Si 0.2281 0.5000 0.4603
Si 0.2337 0.5000 0.2150
O 0.0073 0.1332 0.8402
O 0.0590 0.1313 0.0490
O 0.0598 0.0000 0.2029
O 0.0736 0.0000 0.9082
O 0.0816 0.1791 0.2599
O 0.0975 0.1814 0.8889
O 0.1524 0.2657 0.2030
O 0.1564 0.2379 0.4159
O 0.1631 0.0935 0.2831
O 0.1690 0.2275 0.8050
O 0.1733 0.2763 0.0105
O 0.1779 0.0937 0.9607
O 0.1910 0.2821 0.6236
O 0.1944 0.4054 0.7853
O 0.1966 0.4059 0.4651
O 0.2032 0.4070 0.1645
O 0.2169 0.0000 0.8219
O 0.2254 0.0000 0.4356
O 0.2283 0.0000 0.2221
O 0.2409 0.2321 0.1901
O 0.2427 0.5000 0.9617
O 0.2469 0.5000 0.3493
O 0.2500 0.2500 0.5000

Crystal system: monoclinic


12.
Tm2CuPt | PBE | relaxed

Lattice parameters (Å, degrees): 6.8541 6.8541 6.8541 90.00 90.00 90.00
Space group Fm-3m (No. 225)
Unique sites:
Tm 0.2500 0.2500 0.2500
Cu 0.0000 0.0000 0.0000
Pt 0.0000 0.0000 0.5000

Crystal system: cubic


no.,raw total energy (eV/atom),energy of formation (eV/atom)
1,-4.065,-0.658
2,-7.141,-2.132
3,-3.828,-2.234
4,-8.168,-0.843
5,-6.836,-0.457
6,-7.356,-1.066
7,-7.222,-0.404
8,-3.707,-0.155
9,-9.315,0.150
10,-6.423,-0.519
11,-7.895,-3.246
12,-5.597,-0.817